## one
Entry from the Materials Project database: a geometry-optimized ZnSb4O8 structure (PBE).

Lattice parameters (Å, degrees): 15.648 3.228 11.435 90.00 131.51 90.00
Space group Cm (No. 8)
Unique sites:
Zn1 0.000 0.000 0.000 [2 per cell]
Sb1 0.139 0.000 0.791 [2 per cell]
Sb2 0.174 0.500 0.523 [2 per cell]
Sb3 0.323 0.500 0.138 [2 per cell]
Sb4 0.331 0.000 0.457 [2 per cell]
O1 0.067 0.000 0.423 [2 per cell]
O2 0.139 0.500 0.906 [2 per cell]
O3 0.166 0.500 0.697 [2 per cell]
O4 0.207 0.500 0.377 [2 per cell]
O5 0.271 0.000 0.204 [2 per cell]
O6 0.290 0.000 0.624 [2 per cell]
O7 0.302 0.000 0.978 [2 per cell]
O8 0.474 0.500 0.619 [2 per cell]

Calculated values
mass density: 5.2 g cm⁻³



## two
Entry from the Materials Project database: a geometry-optimized ZnSb4O8 structure (PBE).

Lattice parameters (Å, degrees): 6.8746 6.8746 14.7844 90.00 90.00 120.00
Space group R-3m (No. 166, hexagonal axes)
Unique sites:
Zn1 0.0000 0.0000 0.0000 [3 per cell]
Sb1 0.0000 0.0000 0.5000 [3 per cell]
Sb2 0.0000 0.5000 0.5000 [9 per cell]
O1 0.0000 0.0000 0.2330 [6 per cell]
O2 0.0263 0.5132 0.7560 [18 per cell]

Calculated values
mass density: 5.6 g cm⁻³



The structure with the least stability is two.



## one
Entry from the Materials Project database: a geometry-optimized Te4MoW3Se2S2 structure (PBE).

Lattice parameters (Å, degrees): 3.4028 3.4028 38.7656 90.00 90.00 120.00
Space group P3m1 (No. 156)
Unique sites:
Te1 0.0000 0.0000 0.0000 [1 per cell]
Te2 0.0000 0.0000 0.0971 [1 per cell]
Te3 0.0000 0.0000 0.3757 [1 per cell]
Te4 0.0000 0.0000 0.4728 [1 per cell]
Mo1 0.0000 0.0000 0.2364 [1 per cell]
W1 0.0000 0.0000 0.8606 [1 per cell]
W2 0.3333 0.6667 0.0485 [1 per cell]
W3 0.3333 0.6667 0.4243 [1 per cell]
Se1 0.3333 0.6667 0.8179 [1 per cell]
Se2 0.3333 0.6667 0.9033 [1 per cell]
S1 0.3333 0.6667 0.1977 [1 per cell]
S2 0.3333 0.6667 0.2751 [1 per cell]

Calculated values
mass density: 5.9 g cm⁻³



## two
Entry from the Materials Project database: a geometry-optimized Te4MoW3Se2S2 structure (PBE).

Lattice parameters (Å, degrees): 3.3958 3.3958 38.7774 90.00 90.00 120.00
Space group P3m1 (No. 156)
Unique sites:
Te1 0.0000 0.0000 0.0000 [1 per cell]
Te2 0.0000 0.0000 0.0967 [1 per cell]
Te3 0.0000 0.0000 0.3755 [1 per cell]
Te4 0.0000 0.0000 0.4726 [1 per cell]
Mo1 0.6667 0.3333 0.0483 [1 per cell]
W1 0.0000 0.0000 0.2362 [1 per cell]
W2 0.0000 0.0000 0.6120 [1 per cell]
W3 0.6667 0.3333 0.4240 [1 per cell]
Se1 0.6667 0.3333 0.5692 [1 per cell]
Se2 0.6667 0.3333 0.6547 [1 per cell]
S1 0.6667 0.3333 0.1974 [1 per cell]
S2 0.6667 0.3333 0.2750 [1 per cell]

Calculated values
mass density: 5.9 g cm⁻³



The structure with the least stability is one.



## one
Entry from the Materials Project database: a geometry-optimized MgAl4Cu2O8 structure (PBE).

Lattice parameters (Å, degrees): 5.7491 5.7491 15.2077 90.00 90.00 120.00
Space group R-3m (No. 166, hexagonal axes)
Unique sites:
Mg1 0.0000 0.0000 0.0000 [3 per cell]
Al1 0.0000 0.0000 0.5000 [3 per cell]
Al2 0.0000 0.5000 0.0000 [9 per cell]
Cu1 0.0000 0.0000 0.1562 [6 per cell]
O1 0.0000 0.0000 0.2780 [6 per cell]
O2 0.0288 0.5144 0.2580 [18 per cell]

Calculated values
mass density: 4.4 g cm⁻³



## two
Entry from the Materials Project database: a geometry-optimized MgAl4Cu2O8 structure (PBE).

Lattice parameters (Å, degrees): 5.748 5.773 5.845 63.86 63.69 89.20
Space group P1 (No. 1)
Unique sites:
Mg1 0.000 0.000 0.000 [1 per cell]
Al1 0.236 0.658 0.326 [1 per cell]
Al2 0.342 0.764 0.675 [1 per cell]
Al3 0.671 0.331 0.498 [1 per cell]
Al4 0.677 0.329 0.998 [1 per cell]
Cu1 0.158 0.172 0.252 [1 per cell]
Cu2 0.824 0.846 0.748 [1 per cell]
O1 0.043 0.586 0.716 [1 per cell]
O2 0.382 0.015 0.760 [1 per cell]
O3 0.417 0.955 0.284 [1 per cell]
O4 0.499 0.483 0.250 [1 per cell]
O5 0.518 0.503 0.749 [1 per cell]
O6 0.827 0.177 0.245 [1 per cell]
O7 0.828 0.178 0.751 [1 per cell]
O8 0.988 0.621 0.236 [1 per cell]

Calculated values
mass density: 4.2 g cm⁻³



The structure with the least stability is two.



## one
Entry from the Materials Project database: a geometry-optimized TeI4 structure (PBE).

Lattice parameters (Å, degrees): 5.273 6.319 48.874 88.95 88.61 83.91
Space group P-1 (No. 2)
Unique sites:
Te1 0.003 0.375 0.371 [2 per cell]
Te2 0.284 0.289 0.271 [2 per cell]
Te3 0.338 0.545 0.543 [2 per cell]
I1 0.065 0.167 0.430 [2 per cell]
I2 0.074 0.921 0.183 [2 per cell]
I3 0.116 0.630 0.943 [2 per cell]
I4 0.128 0.389 0.677 [2 per cell]
I5 0.196 0.595 0.226 [2 per cell]
I6 0.218 0.276 0.974 [2 per cell]
I7 0.237 0.920 0.740 [2 per cell]
I8 0.254 0.747 0.486 [2 per cell]
I9 0.394 0.087 0.350 [2 per cell]
I10 0.432 0.561 0.861 [2 per cell]
I11 0.438 0.329 0.595 [2 per cell]
I12 0.457 0.799 0.110 [2 per cell]

Calculated values
mass density: 3.9 g cm⁻³



## two
Entry from the Materials Project database: a geometry-optimized TeI4 structure (PBE).

Lattice parameters (Å, degrees): 14.695 17.530 15.218 90.00 90.00 90.00
Space group Pnma (No. 62)
Unique sites:
Te1 0.135 0.250 0.061 [4 per cell]
Te2 0.138 0.112 0.328 [8 per cell]
Te3 0.140 0.250 0.594 [4 per cell]
I1 0.003 0.250 0.723 [4 per cell]
I2 0.017 0.250 0.243 [4 per cell]
I3 0.020 0.124 0.487 [8 per cell]
I4 0.024 0.002 0.254 [8 per cell]
I5 0.029 0.131 0.989 [8 per cell]
I6 0.231 0.750 0.430 [4 per cell]
I7 0.239 0.508 0.903 [8 per cell]
I8 0.243 0.750 0.912 [4 per cell]
I9 0.246 0.625 0.665 [8 per cell]
I10 0.247 0.133 0.665 [8 per cell]

Calculated values
mass density: 4.3 g cm⁻³



The structure with the least stability is one.